No. 1
GGA+U Mg2TaCrO6, optimized geometry; total magnetization = 0.000 μB per formula unit; energy relative to the elements = -2.949 eV/atom; corrected total energy (MP2020 scheme) = -8.389 eV/atom
1.0
-4.4175 1.9263 1.9171
-3.9109 -9.9466 1.1777
2.9057 -0.3126 7.0096
Mg O Ta Cr
8 24 4 4
direct
0.4898 0.2178 0.2500
0.9989 0.9810 0.2500
0.5101 0.7822 0.7500
0.0011 0.0190 0.7500
0.0011 0.5190 0.7500
0.4898 0.7178 0.2499
0.9991 0.4809 0.2499
0.5101 0.2821 0.7499
0.3741 0.9643 0.7500
0.8252 0.4066 0.9335
0.3172 0.3398 0.4335
0.1298 0.2188 0.7500
0.8251 0.9065 0.9334
0.8252 0.9065 0.5665
0.6828 0.1602 0.9334
0.6828 0.6602 0.5666
0.8702 0.2812 0.2501
0.6828 0.1602 0.5666
0.1748 0.0935 0.0665
0.8250 0.4065 0.5665
0.3172 0.8398 0.4333
0.3741 0.4643 0.7500
0.3172 0.8398 0.0666
0.6828 0.6602 0.9334
0.1748 0.5935 0.4334
0.6259 0.0357 0.2500
0.3171 0.3398 0.0667
0.6259 0.5357 0.2500
0.1750 0.0935 0.4335
0.1298 0.7188 0.7499
0.1750 0.5936 0.0666
0.8701 0.7812 0.2500
0.9999 0.7500 0.4999
0.0000 0.2500 0.5000
0.0000 0.2500 0.0000
0.0000 0.7500 0.9999
0.5000 0.9999 0.0000
0.5000 0.5000 0.4999
0.5001 0.9999 0.5002
0.5000 0.5001 0.0002

***

No. 2
GGA+U SrCa7Mn6Al2O21, optimized geometry; total magnetization = 22.000 μB per formula unit; SG = P1; energy relative to the elements = -2.710 eV/atom; corrected total energy (MP2020 scheme) = -7.631 eV/atom
1.0
10.8457 0.0000 0.0000
0.0797 10.9247 0.0000
0.0645 0.0804 15.3954
Sr Ca Mn Al O
4 28 24 8 84
direct
0.0000 0.0000 0.0000
0.0130 0.0259 0.2458
0.2506 0.2688 0.0134
0.7691 0.7725 0.2410
0.0036 0.5046 0.9731
0.0043 0.5493 0.7449
0.0118 0.0121 0.4856
0.0180 0.5091 0.5084
0.0194 0.4847 0.2472
0.2546 0.3091 0.7443
0.2552 0.7458 0.9834
0.2597 0.7469 0.4950
0.2629 0.7819 0.2524
0.2634 0.7896 0.7530
0.2815 0.2702 0.5005
0.2869 0.2924 0.2512
0.4988 0.5511 0.7440
0.5047 0.0034 0.4863
0.5108 0.4985 0.4995
0.5107 0.5069 0.2584
0.5134 0.4941 0.9864
0.5158 0.0545 0.2515
0.5211 0.0072 0.9879
0.5301 0.0094 0.7511
0.7372 0.7494 0.5047
0.7483 0.2633 0.9900
0.7495 0.2955 0.2422
0.7504 0.7801 0.7530
0.7617 0.7602 0.9786
0.7643 0.2606 0.4983
0.7660 0.2992 0.7480
0.9941 0.0350 0.7569
0.0013 0.2801 0.6260
0.0007 0.7740 0.6237
0.0094 0.7763 0.3855
0.0101 0.7674 0.8695
0.0160 0.2686 0.8689
0.2572 0.5288 0.6225
0.2602 0.0239 0.3704
0.2598 0.5205 0.8697
0.2618 0.5188 0.3747
0.2700 0.0361 0.6357
0.2799 0.5444 0.1305
0.4995 0.7670 0.3775
0.5011 0.7780 0.6210
0.5057 0.7747 0.8702
0.5079 0.2767 0.6271
0.5120 0.7636 0.1105
0.5132 0.2773 0.1213
0.5198 0.2719 0.8676
0.7450 0.5060 0.3758
0.7540 0.5276 0.6240
0.7605 0.0196 0.8707
0.7601 0.5238 0.8705
0.7687 0.5270 0.1214
0.7801 0.0156 0.6137
0.0059 0.7397 0.1092
0.0350 0.2760 0.3924
0.2405 0.0057 0.8764
0.3156 0.0152 0.1194
0.5180 0.2561 0.3799
0.7416 0.9956 0.3718
0.7619 0.0482 0.1302
0.9796 0.2772 0.1089
0.0479 0.7699 0.7458
0.0488 0.2488 0.7456
0.0864 0.6219 0.3756
0.1039 0.1331 0.3676
0.1160 0.6414 0.5992
0.1170 0.6263 0.8855
0.1225 0.2993 0.1558
0.1356 0.1344 0.8932
0.1482 0.8713 0.8923
0.1526 0.3762 0.6044
0.1538 0.8806 0.3799
0.1549 0.3795 0.8879
0.1579 0.3800 0.3911
0.1617 0.6893 0.1244
0.2115 0.0102 0.7499
0.2158 0.9752 0.2020
0.2209 0.5201 0.7436
0.2334 0.5088 0.2504
0.2437 0.0413 0.5150
0.2723 0.0159 0.0087
0.2882 0.5311 0.0049
0.2880 0.5345 0.4972
0.3512 0.6690 0.3625
0.3528 0.1864 0.6450
0.3552 0.6778 0.6414
0.3629 0.6666 0.8549
0.3720 0.1621 0.3602
0.3779 0.1621 0.1442
0.3965 0.9498 0.8592
0.3972 0.4107 0.1383
0.3998 0.9190 0.6445
0.4015 0.4288 0.6348
0.4027 0.4053 0.8468
0.4034 0.4113 0.3716
0.4031 0.9164 0.3465
0.4169 0.6680 0.1812
0.4545 0.9237 0.1350
0.4619 0.7923 0.5026
0.4731 0.7837 0.9916
0.4759 0.2710 0.9929
0.4964 0.2365 0.5039
0.5368 0.2809 0.2478
0.5393 0.7721 0.7456
0.5517 0.2357 0.7450
0.6066 0.6272 0.3828
0.6067 0.6312 0.5974
0.6181 0.6312 0.8902
0.6226 0.1302 0.8923
0.6259 0.1198 0.3742
0.6333 0.1495 0.1101
0.6409 0.3972 0.0967
0.6430 0.9012 0.5927
0.6458 0.3634 0.3945
0.6461 0.8644 0.3846
0.6472 0.8837 0.8806
0.6552 0.3716 0.6032
0.6606 0.3855 0.8892
0.6640 0.6767 0.1100
0.7128 0.5169 0.7452
0.7300 0.5141 0.2539
0.7348 0.0020 0.2407
0.7471 0.0006 0.7351
0.7636 0.9776 0.0265
0.7977 0.0428 0.4826
0.7990 0.5361 0.9932
0.8023 0.5338 0.4910
0.8464 0.6761 0.6409
0.8566 0.1775 0.6378
0.8699 0.6654 0.8476
0.8716 0.1615 0.8627
0.8853 0.3991 0.1399
0.8924 0.8999 0.3524
0.8928 0.1482 0.1390
0.9006 0.4331 0.6408
0.9036 0.9097 0.8653
0.9112 0.3418 0.3351
0.9112 0.4129 0.8484
0.9105 0.6309 0.1611
0.9467 0.8777 0.1470
0.9598 0.7814 0.5008
0.9630 0.9436 0.6250
0.9815 0.7528 0.9950
0.9837 0.2791 0.9947
0.9852 0.2612 0.5015

***

No. 3
GGA+U MgMn2Cr2O8, optimized geometry; total magnetization = 12.001 μB per formula unit; SG = Amm2; energy relative to the elements = -2.025 eV/atom; corrected total energy (MP2020 scheme) = -8.088 eV/atom
1.0
6.4665 0.0000 0.0000
0.0000 2.8876 4.3988
0.0000 -2.8876 4.3988
Mg Mn Cr O
1 2 2 8
direct
0.0000 0.0000 0.0000
0.2553 0.6591 0.6591
0.7447 0.6591 0.6591
0.0000 0.3152 0.3152
0.5000 0.0182 0.0182
0.0000 0.4088 0.9374
0.0000 0.9374 0.4088
0.2145 0.4183 0.4183
0.2756 0.9013 0.9013
0.5000 0.3770 0.8722
0.5000 0.8722 0.3770
0.7244 0.9013 0.9013
0.7855 0.4183 0.4183

***

No. 4
GGA+U Mg6ZnCrO8, optimized geometry; total magnetization = 3.889 μB per formula unit; SG = P4/mmm; energy relative to the elements = -2.698 eV/atom; corrected total energy (MP2020 scheme) = -6.454 eV/atom
1.0
4.3254 0.0000 0.0000
0.0000 4.3254 0.0000
0.0000 0.0000 8.5244
Mg Zn Cr O
6 1 1 8
direct
0.0000 0.0000 0.0000
0.0000 0.0000 0.5000
0.0000 0.5000 0.2501
0.0000 0.5000 0.7499
0.5000 0.0000 0.2501
0.5000 0.0000 0.7499
0.5000 0.5000 0.0000
0.5000 0.5000 0.5000
0.0000 0.0000 0.2492
0.0000 0.0000 0.7508
0.0000 0.5000 0.0000
0.0000 0.5000 0.5000
0.5000 0.0000 0.0000
0.5000 0.0000 0.5000
0.5000 0.5000 0.2544
0.5000 0.5000 0.7456

***

No. 5
GGA+U ZnFe2O4, optimized geometry; total magnetization = 10.000 μB per formula unit; SG = Cm; energy relative to the elements = -1.657 eV/atom; corrected total energy (MP2020 scheme) = -7.085 eV/atom
1.0
5.2480 -3.0257 0.0000
5.2480 3.0257 0.0000
-0.1134 0.0000 14.7559
Zn Fe O
6 12 24
direct
0.0000 0.0000 0.0000
0.1654 0.1654 0.1661
0.5007 0.5007 0.5008
0.6687 0.6687 0.6659
0.8345 0.8345 0.8330
0.9977 0.9977 0.3754
0.0020 0.5037 0.4990
0.0066 0.0066 0.6213
0.1677 0.6678 0.1668
0.3300 0.3300 0.7113
0.3329 0.8356 0.8330
0.3357 0.3357 0.3356
0.3385 0.3385 0.9565
0.5037 0.0020 0.4990
0.6623 0.6623 0.0429
0.6678 0.1677 0.1668
0.6759 0.6759 0.2928
0.8356 0.3329 0.8330
0.0067 0.0067 0.7546
0.0183 0.5016 0.2502
0.1620 0.1620 0.9116
0.1711 0.6805 0.9125
0.1734 0.6389 0.4189
0.1812 0.1812 0.4190
0.3240 0.8268 0.0874
0.3288 0.3288 0.5796
0.3373 0.3373 0.0899
0.3475 0.8394 0.5773
0.4882 0.4882 0.2486
0.4986 0.9868 0.7540
0.5016 0.0183 0.2502
0.5071 0.5071 0.7549
0.6389 0.1734 0.4189
0.6623 0.6623 0.9106
0.6740 0.6740 0.4201
0.6805 0.1711 0.9125
0.8268 0.3240 0.0874
0.8302 0.8302 0.5766
0.8375 0.8375 0.0889
0.8394 0.3475 0.5773
0.9868 0.4986 0.7540
0.9952 0.9952 0.2392

***

No. 6
GGA+U Mn13Fe3O32, optimized geometry; total magnetization = 51.001 μB per formula unit; SG = C2/m; energy relative to the elements = -1.654 eV/atom; corrected total energy (MP2020 scheme) = -7.963 eV/atom
1.0
5.8952 -5.8434 0.0000
5.8952 5.8434 0.0000
-5.7972 0.0000 8.3023
Mn Fe O
13 3 32
direct
0.0000 0.0000 0.0000
0.0000 0.5000 0.5000
0.1247 0.3746 0.2497
0.1248 0.3753 0.7499
0.2496 0.2496 0.0002
0.3746 0.1247 0.2497
0.3753 0.1248 0.7499
0.5000 0.0000 0.5000
0.6247 0.8752 0.2501
0.6254 0.8753 0.7503
0.7504 0.7504 0.9998
0.8752 0.6247 0.2501
0.8753 0.6254 0.7503
0.2499 0.7501 0.5000
0.5000 0.5000 0.0000
0.7501 0.2499 0.5000
0.0005 0.7246 0.4825
0.0240 0.2427 0.0157
0.1019 0.6021 0.7347
0.1115 0.6125 0.2582
0.1331 0.1331 0.2346
0.1486 0.1486 0.7658
0.2250 0.5019 0.4836
0.2427 0.0240 0.0157
0.2537 0.4760 0.9840
0.2754 0.9995 0.5175
0.3522 0.3522 0.2348
0.3648 0.3648 0.7617
0.3875 0.8885 0.7418
0.3979 0.8981 0.2653
0.4760 0.2537 0.9840
0.4981 0.7750 0.5164
0.5019 0.2250 0.4836
0.5240 0.7463 0.0160
0.6021 0.1019 0.7347
0.6125 0.1115 0.2582
0.6352 0.6352 0.2383
0.6478 0.6478 0.7652
0.7246 0.0005 0.4825
0.7463 0.5240 0.0160
0.7573 0.9760 0.9843
0.7750 0.4981 0.5164
0.8514 0.8514 0.2342
0.8669 0.8669 0.7654
0.8885 0.3875 0.7418
0.8981 0.3979 0.2653
0.9760 0.7573 0.9843
0.9995 0.2754 0.5175

***

No. 7
GGA+U ZnCoGe2O6, optimized geometry; total magnetization = 3.000 μB per formula unit; SG = P2_1/c; energy relative to the elements = -1.880 eV/atom; corrected total energy (MP2020 scheme) = -6.611 eV/atom
1.0
9.7791 0.0000 0.0000
0.0000 9.2199 0.0000
-1.1418 0.0000 5.3662
Zn Co Ge O
4 4 8 24
direct
0.2469 0.0007 0.4550
0.2469 0.4993 0.9550
0.7531 0.5007 0.0450
0.7531 0.9993 0.5450
0.2457 0.1530 0.9601
0.2457 0.3470 0.4601
0.7543 0.6530 0.5399
0.7543 0.8470 0.0399
0.0554 0.6630 0.3102
0.0554 0.8370 0.8102
0.4538 0.6586 0.7421
0.4538 0.8414 0.2421
0.5462 0.1586 0.7579
0.5462 0.3414 0.2579
0.9446 0.1630 0.1898
0.9446 0.3370 0.6898
0.1086 0.6856 0.6433
0.1086 0.8144 0.1433
0.1306 0.1654 0.2474
0.1306 0.3346 0.7474
0.1392 0.5101 0.2260
0.1392 0.9899 0.7260
0.3618 0.1644 0.6852
0.3618 0.3356 0.1852
0.3724 0.0101 0.2029
0.3724 0.4899 0.7029
0.3826 0.7166 0.0017
0.3826 0.7834 0.5017
0.6174 0.2166 0.4983
0.6174 0.2834 0.9983
0.6276 0.5101 0.2971
0.6276 0.9899 0.7971
0.6382 0.6644 0.8148
0.6382 0.8356 0.3148
0.8608 0.0101 0.2740
0.8608 0.4899 0.7740
0.8694 0.6654 0.2526
0.8694 0.8346 0.7526
0.8914 0.1856 0.8567
0.8914 0.3144 0.3567

***

No. 8
GGA+U Li9Mn2Co5O16, optimized geometry; total magnetization = 6.000 μB per formula unit; SG = P-1; energy relative to the elements = -1.814 eV/atom; corrected total energy (MP2020 scheme) = -6.508 eV/atom
1.0
5.8164 0.0000 0.0000
1.4767 6.3977 0.0000
1.3704 -0.1989 7.6308
Li Mn Co O
9 2 5 16
direct
0.0000 0.0000 0.0000
0.1211 0.8806 0.6267
0.1328 0.3621 0.1134
0.3698 0.6341 0.8820
0.3749 0.1206 0.3707
0.6251 0.8794 0.6293
0.6302 0.3659 0.1180
0.8672 0.6379 0.8866
0.8789 0.1194 0.3733
0.0000 0.5000 0.5000
0.5000 0.5000 0.5000
0.2444 0.7595 0.2364
0.2500 0.2314 0.7610
0.5000 0.0000 0.0000
0.7500 0.7686 0.2390
0.7556 0.2405 0.7636
0.0534 0.2093 0.5646
0.0661 0.6802 0.0788
0.1968 0.5470 0.6680
0.2091 0.0514 0.1786
0.3057 0.4427 0.3368
0.3177 0.9542 0.8167
0.4396 0.7877 0.4292
0.4451 0.2947 0.9382
0.5549 0.7053 0.0618
0.5604 0.2123 0.5708
0.6823 0.0458 0.1833
0.6943 0.5573 0.6632
0.7909 0.9486 0.8214
0.8032 0.4530 0.3320
0.9339 0.3198 0.9212
0.9466 0.7907 0.4354